(1)
A relaxed FeO2 crystal, computed with GGA+U.

Lattice parameters (Å, degrees): 5.876 5.876 5.876 118.16 118.16 93.22
Sites, in units of the cell vectors:
Fe1 0.000 0.000 0.000
Fe2 0.000 0.000 0.500
Fe3 0.000 0.500 0.000
Fe4 0.500 0.000 0.500
O1 0.205 0.231 0.974
O2 0.231 0.205 0.474
O3 0.231 0.757 0.026
O4 0.243 0.769 0.474
O5 0.757 0.231 0.526
O6 0.769 0.243 0.974
O7 0.769 0.795 0.526
O8 0.795 0.769 0.026

Results
Magnetization in Bohr magnetons per cell: 16.00
Corrected total energy (MP2020 scheme) in eV/atom: -7.26
Symmetry: I4_1/amd
Energy relative to the elements in eV per atom: -1.1429

(2)
A relaxed Na4FeO4 crystal, computed with GGA+U.

Lattice parameters (Å, degrees): 5.829 5.829 8.372 87.83 71.82 69.22
Sites, in units of the cell vectors:
Na1 0.049 0.224 0.432
Na2 0.208 0.244 0.019
Na3 0.240 0.737 0.169
Na4 0.414 0.284 0.629
Na5 0.586 0.716 0.371
Na6 0.760 0.263 0.831
Na7 0.792 0.756 0.981
Na8 0.951 0.776 0.568
Fe1 0.406 0.780 0.750
Fe2 0.594 0.220 0.250
O1 0.171 0.998 0.662
O2 0.238 0.608 0.898
O3 0.313 0.472 0.383
O4 0.437 0.025 0.199
O5 0.563 0.975 0.801
O6 0.687 0.528 0.617
O7 0.762 0.392 0.102
O8 0.829 0.002 0.338

Results
Corrected total energy (MP2020 scheme) in eV/atom: -5.36
Symmetry: P-1
Energy relative to the elements in eV per atom: -1.6342

(3)
A relaxed Na8W19O57 crystal, computed with GGA+U.

Lattice parameters (Å, degrees): 3.902 3.902 74.485 90.00 90.00 90.00
Sites, in units of the cell vectors:
Na1 0.000 0.000 0.026
Na2 0.000 0.000 0.079
Na3 0.000 0.000 0.132
Na4 0.000 0.000 0.237
Na5 0.000 0.000 0.763
Na6 0.000 0.000 0.868
Na7 0.000 0.000 0.921
Na8 0.000 0.000 0.974
W1 0.500 0.500 0.000
W2 0.500 0.500 0.053
W3 0.500 0.500 0.106
W4 0.500 0.500 0.159
W5 0.500 0.500 0.210
W6 0.500 0.500 0.265
W7 0.500 0.500 0.317
W8 0.500 0.500 0.369
W9 0.500 0.500 0.422
W10 0.500 0.500 0.474
W11 0.500 0.500 0.526
W12 0.500 0.500 0.578
W13 0.500 0.500 0.631
W14 0.500 0.500 0.683
W15 0.500 0.500 0.735
W16 0.500 0.500 0.790
W17 0.500 0.500 0.841
W18 0.500 0.500 0.894
W19 0.500 0.500 0.947
O1 0.000 0.500 0.000
O2 0.000 0.500 0.053
O3 0.000 0.500 0.105
O4 0.000 0.500 0.157
O5 0.000 0.500 0.211
O6 0.000 0.500 0.262
O7 0.000 0.500 0.316
O8 0.000 0.500 0.368
O9 0.000 0.500 0.421
O10 0.000 0.500 0.474
O11 0.000 0.500 0.526
O12 0.000 0.500 0.579
O13 0.000 0.500 0.632
O14 0.000 0.500 0.684
O15 0.000 0.500 0.738
O16 0.000 0.500 0.789
O17 0.000 0.500 0.843
O18 0.000 0.500 0.895
O19 0.000 0.500 0.947
O20 0.500 0.000 0.000
O21 0.500 0.000 0.053
O22 0.500 0.000 0.105
O23 0.500 0.000 0.157
O24 0.500 0.000 0.211
O25 0.500 0.000 0.262
O26 0.500 0.000 0.316
O27 0.500 0.000 0.368
O28 0.500 0.000 0.421
O29 0.500 0.000 0.474
O30 0.500 0.000 0.526
O31 0.500 0.000 0.579
O32 0.500 0.000 0.632
O33 0.500 0.000 0.684
O34 0.500 0.000 0.738
O35 0.500 0.000 0.789
O36 0.500 0.000 0.843
O37 0.500 0.000 0.895
O38 0.500 0.000 0.947
O39 0.500 0.500 0.026
O40 0.500 0.500 0.080
O41 0.500 0.500 0.131
O42 0.500 0.500 0.185
O43 0.500 0.500 0.237
O44 0.500 0.500 0.289
O45 0.500 0.500 0.342
O46 0.500 0.500 0.395
O47 0.500 0.500 0.447
O48 0.500 0.500 0.500
O49 0.500 0.500 0.553
O50 0.500 0.500 0.605
O51 0.500 0.500 0.658
O52 0.500 0.500 0.711
O53 0.500 0.500 0.763
O54 0.500 0.500 0.815
O55 0.500 0.500 0.869
O56 0.500 0.500 0.920
O57 0.500 0.500 0.974

Results
Magnetization in Bohr magnetons per cell: 7.29
Corrected total energy (MP2020 scheme) in eV/atom: -8.58
Symmetry: P4/mmm
Energy relative to the elements in eV per atom: -2.1628

(4)
A relaxed BaV2ZnO7 crystal, computed with GGA+U.

Lattice parameters (Å, degrees): 15.429 5.564 7.556 90.00 90.00 90.00
Sites, in units of the cell vectors:
Ba1 0.210 0.250 0.147
Ba2 0.290 0.750 0.647
Ba3 0.710 0.250 0.353
Ba4 0.790 0.750 0.853
V1 0.057 0.750 0.306
V2 0.141 0.250 0.672
V3 0.359 0.750 0.172
V4 0.443 0.250 0.806
V5 0.557 0.750 0.194
V6 0.641 0.250 0.828
V7 0.859 0.750 0.328
V8 0.943 0.250 0.694
Zn1 0.048 0.750 0.851
Zn2 0.452 0.250 0.351
Zn3 0.548 0.750 0.649
Zn4 0.952 0.250 0.149
O1 0.039 0.250 0.551
O2 0.050 0.002 0.169
O3 0.050 0.498 0.169
O4 0.144 0.502 0.808
O5 0.144 0.998 0.808
O6 0.151 0.750 0.418
O7 0.230 0.250 0.541
O8 0.270 0.750 0.041
O9 0.349 0.250 0.918
O10 0.356 0.002 0.308
O11 0.356 0.498 0.308
O12 0.450 0.502 0.669
O13 0.450 0.998 0.669
O14 0.461 0.750 0.051
O15 0.539 0.250 0.949
O16 0.550 0.002 0.331
O17 0.550 0.498 0.331
O18 0.644 0.502 0.692
O19 0.644 0.998 0.692
O20 0.651 0.750 0.082
O21 0.730 0.250 0.959
O22 0.770 0.750 0.459
O23 0.849 0.250 0.582
O24 0.856 0.002 0.192
O25 0.856 0.498 0.192
O26 0.950 0.502 0.831
O27 0.950 0.998 0.831
O28 0.961 0.750 0.449

Results
Magnetization in Bohr magnetons per cell: 0.00
Corrected total energy (MP2020 scheme) in eV/atom: -7.59
E above lowest polymorph in eV per atom: 0.0320
Symmetry: Pnma
Energy relative to the elements in eV per atom: -2.5048

(5)
A relaxed Li2V2P3O12 crystal, computed with GGA+U.

Lattice parameters (Å, degrees): 12.106 8.636 8.761 90.00 90.00 90.00
Sites, in units of the cell vectors:
Li1 0.183 0.213 0.220
Li2 0.183 0.787 0.720
Li3 0.317 0.287 0.720
Li4 0.317 0.713 0.220
Li5 0.683 0.287 0.780
Li6 0.683 0.713 0.280
Li7 0.817 0.213 0.280
Li8 0.817 0.787 0.780
V1 0.113 0.253 0.534
V2 0.113 0.747 0.034
V3 0.387 0.247 0.034
V4 0.387 0.753 0.534
V5 0.613 0.247 0.466
V6 0.613 0.753 0.966
V7 0.887 0.253 0.966
V8 0.887 0.747 0.466
P1 0.000 0.463 0.250
P2 0.000 0.537 0.750
P3 0.146 0.105 0.893
P4 0.146 0.895 0.393
P5 0.354 0.395 0.393
P6 0.354 0.605 0.893
P7 0.500 0.037 0.750
P8 0.500 0.963 0.250
P9 0.646 0.395 0.107
P10 0.646 0.605 0.607
P11 0.854 0.105 0.607
P12 0.854 0.895 0.107
O1 0.030 0.155 0.943
O2 0.030 0.845 0.443
O3 0.067 0.439 0.638
O4 0.067 0.561 0.138
O5 0.083 0.356 0.334
O6 0.083 0.644 0.834
O7 0.156 0.074 0.394
O8 0.156 0.926 0.894
O9 0.176 0.163 0.732
O10 0.176 0.837 0.232
O11 0.229 0.174 0.012
O12 0.229 0.826 0.512
O13 0.271 0.326 0.512
O14 0.271 0.674 0.012
O15 0.324 0.337 0.232
O16 0.324 0.663 0.732
O17 0.344 0.426 0.894
O18 0.344 0.574 0.394
O19 0.417 0.144 0.834
O20 0.417 0.856 0.334
O21 0.433 0.061 0.138
O22 0.433 0.939 0.638
O23 0.470 0.345 0.443
O24 0.470 0.655 0.943
O25 0.530 0.345 0.057
O26 0.530 0.655 0.557
O27 0.567 0.061 0.362
O28 0.567 0.939 0.862
O29 0.583 0.144 0.666
O30 0.583 0.856 0.166
O31 0.656 0.426 0.606
O32 0.656 0.574 0.106
O33 0.676 0.337 0.268
O34 0.676 0.663 0.768
O35 0.729 0.326 0.988
O36 0.729 0.674 0.488
O37 0.771 0.174 0.488
O38 0.771 0.826 0.988
O39 0.824 0.163 0.768
O40 0.824 0.837 0.268
O41 0.844 0.074 0.106
O42 0.844 0.926 0.606
O43 0.917 0.356 0.166
O44 0.917 0.644 0.666
O45 0.933 0.439 0.862
O46 0.933 0.561 0.362
O47 0.970 0.155 0.557
O48 0.970 0.845 0.057

Results
Magnetization in Bohr magnetons per cell: 12.00
Corrected total energy (MP2020 scheme) in eV/atom: -7.83
E above lowest polymorph in eV per atom: 0.0012
Symmetry: Pbcn
Energy relative to the elements in eV per atom: -2.6949

(6)
A relaxed Li3Fe4B4O12 crystal, computed with GGA+U.

Lattice parameters (Å, degrees): 5.219 9.073 11.348 112.29 102.68 90.08
Sites, in units of the cell vectors:
Li1 0.000 0.000 0.000
Li2 0.039 0.031 0.745
Li3 0.273 0.241 0.495
Li4 0.497 0.498 0.998
Li5 0.538 0.531 0.740
Li6 0.812 0.775 0.254
Fe1 0.036 0.345 0.718
Fe2 0.249 0.570 0.466
Fe3 0.283 0.944 0.220
Fe4 0.481 0.144 0.967
Fe5 0.547 0.847 0.711
Fe6 0.755 0.050 0.470
Fe7 0.782 0.417 0.216
Fe8 0.989 0.653 0.965
B1 0.031 0.682 0.711
B2 0.237 0.891 0.462
B3 0.279 0.599 0.215
B4 0.489 0.808 0.960
B5 0.530 0.179 0.713
B6 0.748 0.389 0.465
B7 0.781 0.092 0.210
B8 0.992 0.310 0.966
O1 0.030 0.091 0.192
O2 0.095 0.167 0.949
O3 0.110 0.422 0.934
O4 0.135 0.710 0.181
O5 0.159 0.505 0.265
O6 0.254 0.838 0.999
O7 0.266 0.646 0.665
O8 0.352 0.012 0.438
O9 0.394 0.782 0.498
O10 0.407 0.310 0.702
O11 0.412 0.074 0.752
O12 0.491 0.410 0.477
O13 0.535 0.577 0.198
O14 0.596 0.664 0.947
O15 0.613 0.919 0.928
O16 0.625 0.207 0.181
O17 0.680 0.984 0.252
O18 0.762 0.343 0.016
O19 0.778 0.155 0.686
O20 0.871 0.482 0.414
O21 0.894 0.281 0.503
O22 0.920 0.573 0.749
O23 0.925 0.820 0.718
O24 0.971 0.870 0.446

Results
Magnetization in Bohr magnetons per cell: 34.00
Corrected total energy (MP2020 scheme) in eV/atom: -7.76
E above lowest polymorph in eV per atom: 0.0078
Symmetry: P1
Energy relative to the elements in eV per atom: -2.2975